An optimized crystal structure of Na4B4Sb2SO16, computed with PBE-GGA.

Lattice parameters (Å, degrees): 13.890 13.981 14.442 90.00 90.00 90.00
Space group Fddd (No. 70, origin choice 2)
Asymmetric unit:
Na1 0.082 0.375 0.375
Na2 0.125 0.331 0.125
B1 0.035 0.036 0.709
Sb1 0.000 0.000 0.500
S1 0.125 0.125 0.125
O1 0.019 0.110 0.771
O2 0.025 0.274 0.884
O3 0.062 0.062 0.067
O4 0.110 0.278 0.524

Output
Total magnetic moment = 0.01 Bohr magnetons per cell
Energy of formation = -6060 kJ/mol of formula units
Energy = -1403.04 eV per cell